Entry 1:
Dy5BiPd2: relaxed, r²SCAN.

Results
- DFT total energy: -540.95 eV per cell
- Space group: I4/mcm

Geometry as POSCAR:
```
Dy5BiPd2
1.0
0.041 -1.293 8.674
-8.455 1.115 2.045
3.304 -5.298 -6.158
Dy Pd Bi
10 4 2
Direct
0.500 0.500 0.000
0.514 0.014 0.808
0.014 0.206 0.500
0.000 0.000 0.000
0.206 0.706 0.192
0.706 0.514 0.500
0.486 0.986 0.192
0.294 0.486 0.500
0.986 0.794 0.500
0.794 0.294 0.808
0.863 0.363 0.226
0.137 0.637 0.774
0.363 0.137 0.500
0.637 0.863 0.500
0.250 0.250 0.000
0.750 0.750 0.000
```

---

Entry 2:
Dy5BiPt2: relaxed, r²SCAN.

Results
- DFT total energy: -659.55 eV per cell
- Space group: I4/mcm

Geometry as POSCAR:
```
Dy5BiPt2
1.0
-3.900 3.900 6.819
3.900 -3.900 6.819
3.900 3.900 -6.819
Dy Pt Bi
10 4 2
Direct
0.209 0.709 0.189
0.000 0.000 0.000
0.291 0.480 0.500
0.520 0.020 0.811
0.709 0.520 0.500
0.020 0.209 0.500
0.980 0.791 0.500
0.500 0.500 0.000
0.480 0.980 0.189
0.791 0.291 0.811
0.860 0.360 0.221
0.360 0.140 0.500
0.640 0.860 0.500
0.140 0.640 0.779
0.250 0.250 0.000
0.750 0.750 0.000
```

---

Entry 3:
DyBiRh: relaxed, r²SCAN.

Results
- DFT total energy: -351.33 eV per cell
- Space group: P-62m

Geometry as POSCAR:
```
DyBiRh
1.0
7.611 0.000 0.000
-3.805 6.591 0.000
0.000 0.000 3.974
Rh Bi Dy
3 3 3
Direct
0.667 0.333 0.500
0.000 0.000 0.000
0.333 0.667 0.500
0.734 0.734 0.500
0.000 0.266 0.500
0.266 0.000 0.500
0.400 0.400 0.000
0.600 0.000 0.000
0.000 0.600 0.000
```

---

Entry 4:
Er6MnBi2: relaxed, r²SCAN.

Results
- DFT total energy: -340.06 eV per cell
- Space group: P-62m

Geometry as POSCAR:
```
Er6MnBi2
1.0
8.146 0.000 0.000
-4.073 7.055 0.000
0.000 0.000 4.364
Mn Er Bi
1 6 2
Direct
0.000 0.000 0.500
0.396 0.396 0.500
0.000 0.235 0.000
0.604 0.000 0.500
0.235 0.000 0.000
0.000 0.604 0.500
0.765 0.765 0.000
0.333 0.667 0.000
0.667 0.333 0.000
```

---

What did the second record say?
Dy5BiPt2: relaxed, r²SCAN.

Results
- DFT total energy: -659.55 eV per cell
- Space group: I4/mcm

Geometry as POSCAR:
```
Dy5BiPt2
1.0
-3.900 3.900 6.819
3.900 -3.900 6.819
3.900 3.900 -6.819
Dy Pt Bi
10 4 2
Direct
0.209 0.709 0.189
0.000 0.000 0.000
0.291 0.480 0.500
0.520 0.020 0.811
0.709 0.520 0.500
0.020 0.209 0.500
0.980 0.791 0.500
0.500 0.500 0.000
0.480 0.980 0.189
0.791 0.291 0.811
0.860 0.360 0.221
0.360 0.140 0.500
0.640 0.860 0.500
0.140 0.640 0.779
0.250 0.250 0.000
0.750 0.750 0.000
```